Tm2Mo2C3 | PBE | relaxed

Cell lengths 5.8869, 5.8869, 5.6488 Å; angles 107.97, 107.97, 33.18 degrees
Fractional positions:
1 Tm 0.1150 0.1150 0.3175
2 Tm 0.8850 0.8850 0.6825
3 Mo 0.3514 0.3514 0.1304
4 Mo 0.6486 0.6486 0.8696
5 C 0.2296 0.2296 0.7539
6 C 0.5000 0.5000 0.0000
7 C 0.7704 0.7704 0.2461

Calculated values
E above lowest polymorph: 36 meV per atom
Total energy: -8.688 eV/atom
DFT formation energy: -0.355 eV per atom
Volume: 14.492 Å³ per atom